Density functional theory data (PBE with a Hubbard U) for a relaxed NaMgFeS3O12 crystal.

Geometry as POSCAR:
```
NaMgFeS3O12
1.0
-4.099 5.653 5.613
-5.762 -2.779 6.272
1.893 0.310 8.751
O S Fe Na Mg
24 6 2 2 2
Direct
0.794 0.007 0.608
0.518 0.277 0.124
0.913 0.070 0.272
0.876 0.482 0.723
0.272 0.913 0.070
0.482 0.723 0.876
0.007 0.608 0.794
0.087 0.930 0.728
0.070 0.272 0.913
0.786 0.563 0.419
0.563 0.419 0.786
0.277 0.124 0.518
0.993 0.392 0.206
0.608 0.794 0.007
0.930 0.728 0.087
0.728 0.087 0.930
0.723 0.876 0.482
0.124 0.518 0.277
0.206 0.993 0.392
0.214 0.437 0.581
0.419 0.786 0.563
0.581 0.214 0.437
0.437 0.581 0.214
0.392 0.206 0.993
0.756 0.040 0.451
0.960 0.549 0.244
0.451 0.756 0.040
0.549 0.244 0.960
0.244 0.960 0.549
0.040 0.451 0.756
0.351 0.351 0.351
0.649 0.649 0.649
0.500 0.500 0.500
0.000 0.000 0.000
0.852 0.852 0.852
0.148 0.148 0.148
```

## Properties
For the calculated density, the calculation gives 2.7 Mg/m³. As for the total magnetization: 0.28 μB per atom. For the formation energy, the calculation gives -2118 meV/atom.

---

Density functional theory data (PBE with a Hubbard U) for a relaxed NaMgFeS2O8 crystal.

Geometry as POSCAR:
```
NaMgFeS2O8
1.0
-2.774 2.450 3.657
0.572 5.141 -0.555
-6.154 0.841 -4.352
S O Mg Na Fe
2 8 1 1 1
Direct
0.647 0.602 0.204
0.398 0.353 0.796
0.697 0.229 0.813
0.305 0.659 0.807
0.771 0.303 0.187
0.341 0.695 0.193
0.344 0.317 0.607
0.244 0.229 0.927
0.771 0.756 0.073
0.683 0.656 0.393
0.286 0.714 0.500
0.809 0.191 0.500
0.024 0.976 0.000
```

## Properties
For the calculated density, the calculation gives 2.5 Mg/m³. The energy above the most stable polymorph in this dataset is 53 meV/atom. As for the total magnetization: 0.38 μB per atom. For the formation energy, the calculation gives -1819 meV/atom.

---

Density functional theory data (PBE with a Hubbard U) for a relaxed NaMgFeS3O12 crystal.

Geometry as POSCAR:
```
NaMgFeS3O12
1.0
-6.267 -4.348 -3.971
-2.043 -7.957 2.622
-7.731 -1.274 4.282
O Fe S Na Mg
24 2 6 2 2
Direct
0.779 0.123 0.589
0.277 0.019 0.083
0.570 0.284 0.232
0.509 0.623 0.089
0.913 0.784 0.732
0.078 0.220 0.266
0.283 0.568 0.737
0.776 0.910 0.242
0.720 0.439 0.261
0.411 0.069 0.237
0.384 0.485 0.416
0.072 0.410 0.742
0.496 0.382 0.910
0.891 0.206 0.914
0.715 0.985 0.916
0.936 0.580 0.258
0.212 0.882 0.410
0.621 0.520 0.583
0.015 0.287 0.585
0.580 0.938 0.762
0.989 0.706 0.414
0.436 0.720 0.766
0.227 0.080 0.757
0.113 0.787 0.084
0.851 0.353 0.446
0.350 0.853 0.946
0.542 0.457 0.253
0.458 0.543 0.752
0.046 0.248 0.752
0.247 0.043 0.252
0.953 0.747 0.253
0.749 0.957 0.753
0.501 0.001 0.496
0.002 0.501 0.996
0.147 0.645 0.558
0.650 0.145 0.058
```

## Properties
For the calculated density, the calculation gives 2.7 Mg/m³. As for the total magnetization: 0.28 μB per atom. For the formation energy, the calculation gives -2118 meV/atom.

---

Density functional theory data (PBE with a Hubbard U) for a relaxed NaMgFeS2O8 crystal.

Geometry as POSCAR:
```
NaMgFeS2O8
1.0
-4.021 -1.872 2.729
-2.374 3.734 2.752
-3.585 1.068 -5.184
Na O S Mg Fe
1 8 2 1 1
Direct
0.003 0.005 0.475
0.743 0.743 0.076
0.727 0.728 0.459
0.264 0.263 0.920
0.747 0.328 0.236
0.327 0.749 0.236
0.274 0.274 0.542
0.272 0.681 0.757
0.681 0.276 0.756
0.632 0.633 0.252
0.363 0.363 0.743
0.678 0.682 0.766
0.996 0.998 0.996
```

## Properties
For the calculated density, the calculation gives 3.0 Mg/m³. The energy above the most stable polymorph in this dataset is 0 meV/atom. As for the total magnetization: 0.23 μB per atom. For the formation energy, the calculation gives -1872 meV/atom.

---

Density functional theory data (PBE with a Hubbard U) for a relaxed NaMgFeS3O12 crystal.

Geometry as POSCAR:
```
NaMgFeS3O12
1.0
0.392 -6.474 5.691
4.848 -6.943 -1.655
7.537 -1.204 4.649
O Fe Mg S Na
24 2 2 6 2
Direct
0.936 0.227 0.256
0.784 0.504 0.590
0.071 0.775 0.743
0.227 0.936 0.756
0.013 0.111 0.585
0.714 0.385 0.916
0.412 0.282 0.238
0.504 0.784 0.090
0.436 0.080 0.764
0.914 0.569 0.733
0.280 0.619 0.083
0.080 0.436 0.264
0.892 0.989 0.915
0.989 0.892 0.415
0.569 0.914 0.233
0.211 0.496 0.410
0.385 0.714 0.416
0.496 0.211 0.910
0.582 0.721 0.759
0.721 0.582 0.259
0.619 0.280 0.583
0.775 0.071 0.243
0.282 0.412 0.738
0.111 0.013 0.085
0.348 0.853 0.947
0.853 0.348 0.447
0.146 0.651 0.558
0.651 0.146 0.058
0.541 0.749 0.253
0.749 0.541 0.753
0.248 0.458 0.252
0.953 0.046 0.253
0.458 0.248 0.752
0.046 0.953 0.753
0.501 0.001 0.497
0.001 0.501 0.997
```

## Properties
For the calculated density, the calculation gives 2.7 Mg/m³. As for the total magnetization: 0.28 μB per atom. For the formation energy, the calculation gives -2118 meV/atom.

---

Density functional theory data (PBE with a Hubbard U) for a relaxed Na2Mg2Fe2Se3S3O24 crystal.

Geometry as POSCAR:
```
Na2Mg2Fe2Se3S3O24
1.0
8.000 -4.378 0.000
8.000 4.378 0.000
5.605 0.000 7.194
O Se Fe S Mg Na
24 3 2 3 2 2
Direct
0.988 0.379 0.192
0.526 0.246 0.149
0.904 0.085 0.270
0.085 0.270 0.904
0.890 0.750 0.092
0.734 0.879 0.485
0.750 0.092 0.890
0.246 0.149 0.526
0.604 0.812 0.001
0.485 0.734 0.879
0.207 0.458 0.582
0.458 0.582 0.207
0.270 0.904 0.085
0.149 0.526 0.246
0.788 0.524 0.453
0.092 0.890 0.750
0.879 0.485 0.734
0.582 0.207 0.458
0.453 0.788 0.524
0.192 0.988 0.379
0.379 0.192 0.988
0.524 0.453 0.788
0.001 0.604 0.812
0.812 0.001 0.604
0.959 0.541 0.249
0.249 0.959 0.541
0.541 0.249 0.959
0.849 0.849 0.849
0.143 0.143 0.143
0.755 0.041 0.456
0.041 0.456 0.755
0.456 0.755 0.041
0.358 0.358 0.358
0.651 0.651 0.651
0.501 0.501 0.501
0.000 0.000 0.000
```

## Properties
For the calculated density, the calculation gives 3.0 Mg/m³. As for the total magnetization: 0.28 μB per atom. For the formation energy, the calculation gives -1845 meV/atom.

---

Density functional theory data (PBE with a Hubbard U) for a relaxed NaMgFeSe2O8 crystal.

Geometry as POSCAR:
```
NaMgFeSe2O8
1.0
5.422 0.086 -0.072
2.213 4.950 -0.072
-0.193 -0.128 6.840
Na O Se Mg Fe
1 8 2 1 1
Direct
0.007 0.007 0.488
0.230 0.230 0.970
0.702 0.229 0.750
0.760 0.318 0.210
0.791 0.791 0.083
0.297 0.297 0.469
0.229 0.702 0.750
0.318 0.760 0.210
0.734 0.734 0.470
0.354 0.354 0.719
0.663 0.663 0.247
0.360 0.360 0.201
0.015 0.015 0.960
```

## Properties
For the calculated density, the calculation gives 3.5 Mg/m³. The energy above the most stable polymorph in this dataset is 33 meV/atom. As for the total magnetization: 0.38 μB per atom. For the formation energy, the calculation gives -1521 meV/atom.

---

Density functional theory data (PBE with a Hubbard U) for a relaxed NaMgFeSe2O8 crystal.

Geometry as POSCAR:
```
NaMgFeSe2O8
1.0
5.271 -0.030 -0.035
2.045 4.938 0.177
-0.285 0.113 7.012
O Mg Se Fe Na
8 1 2 1 1
Direct
0.241 0.309 0.544
0.764 0.722 0.011
0.765 0.328 0.272
0.292 0.689 0.202
0.238 0.696 0.779
0.246 0.175 0.044
0.701 0.225 0.778
0.654 0.867 0.376
0.389 0.272 0.286
0.627 0.664 0.206
0.347 0.350 0.775
0.007 0.974 0.980
0.006 0.991 0.525
```

## Properties
For the calculated density, the calculation gives 3.5 Mg/m³. The energy above the most stable polymorph in this dataset is 0 meV/atom. As for the total magnetization: 0.23 μB per atom. For the formation energy, the calculation gives -1554 meV/atom.

---

Density functional theory data (PBE with a Hubbard U) for a relaxed NaMgFeSe2O8 crystal.

Geometry as POSCAR:
```
NaMgFeSe2O8
1.0
5.197 -0.326 0.097
1.745 4.906 0.097
-0.122 -0.080 7.315
O Na Mg Se Fe
8 1 1 2 1
Direct
0.724 0.250 0.774
0.750 0.276 0.226
0.233 0.253 0.970
0.747 0.767 0.030
0.295 0.324 0.577
0.258 0.788 0.199
0.212 0.742 0.801
0.676 0.705 0.423
0.175 0.825 0.500
0.688 0.312 0.500
0.360 0.401 0.802
0.599 0.640 0.198
0.983 0.017 0.000
```

## Properties
For the calculated density, the calculation gives 3.4 Mg/m³. The energy above the most stable polymorph in this dataset is 125 meV/atom. As for the total magnetization: 0.30 μB per atom. For the formation energy, the calculation gives -1429 meV/atom.

---

Density functional theory data (PBE with a Hubbard U) for a relaxed Mg6NbFeO8 crystal.

Geometry as POSCAR:
```
Mg6NbFeO8
1.0
8.711 0.000 0.000
0.000 4.324 0.000
0.000 0.000 4.324
Fe O Nb Mg
1 8 1 6
Direct
0.000 0.000 0.000
0.500 0.000 0.500
0.255 0.000 0.000
0.737 0.500 0.500
0.000 0.000 0.500
0.500 0.500 0.000
0.263 0.500 0.500
0.745 0.000 0.000
0.000 0.500 0.000
0.000 0.500 0.500
0.744 0.000 0.500
0.500 0.000 0.000
0.256 0.500 0.000
0.500 0.500 0.500
0.744 0.500 0.000
0.256 0.000 0.500
```

## Properties
For the calculated density, the calculation gives 4.3 Mg/m³. The energy above the most stable polymorph in this dataset is 0 meV/atom. As for the total magnetization: 0.32 μB per atom. For the formation energy, the calculation gives -2552 meV/atom.

---

Density functional theory data (PBE with a Hubbard U) for a relaxed Mg6NbFeO8 crystal.

Geometry as POSCAR:
```
Mg6NbFeO8
1.0
-8.346 2.796 -0.533
-1.186 -3.843 -1.594
-0.738 -1.437 4.013
Mg O Nb Fe
6 8 1 1
Direct
0.763 0.000 0.500
0.237 0.500 0.000
0.500 0.500 0.500
0.000 0.500 0.500
0.237 0.000 0.500
0.763 0.500 0.000
0.000 0.000 0.500
0.000 0.500 0.000
0.749 0.500 0.500
0.255 0.000 0.000
0.500 0.000 0.500
0.251 0.500 0.500
0.745 0.000 0.000
0.500 0.500 0.000
0.500 0.000 0.000
0.000 0.000 0.000
```

## Properties
For the calculated density, the calculation gives 4.3 Mg/m³. The energy above the most stable polymorph in this dataset is 33 meV/atom. As for the total magnetization: 0.32 μB per atom. For the formation energy, the calculation gives -2519 meV/atom.

---

Density functional theory data (PBE with a Hubbard U) for a relaxed MgFe7Ni6O16 crystal.

Geometry as POSCAR:
```
MgFe7Ni6O16
1.0
-5.125 2.201 2.275
3.553 3.588 -3.284
-7.482 -3.170 -6.522
O Fe Ni Mg
16 7 6 1
Direct
0.914 0.086 0.210
0.415 0.585 0.212
0.446 0.060 0.683
0.940 0.554 0.683
0.183 0.317 0.927
0.184 0.816 0.441
0.711 0.289 0.915
0.442 0.058 0.198
0.683 0.317 0.440
0.942 0.558 0.198
0.441 0.559 0.684
0.942 0.058 0.685
0.685 0.821 0.442
0.210 0.790 0.913
0.179 0.315 0.442
0.683 0.817 0.927
0.564 0.938 0.812
0.061 0.437 0.313
0.563 0.939 0.313
0.063 0.937 0.823
0.062 0.436 0.812
0.312 0.688 0.062
0.562 0.438 0.302
0.063 0.937 0.299
0.562 0.438 0.826
0.312 0.688 0.562
0.812 0.688 0.562
0.812 0.188 0.562
0.312 0.188 0.562
0.812 0.188 0.062
```

## Properties
For the calculated density, the calculation gives 5.4 Mg/m³. The energy above the most stable polymorph in this dataset is 83 meV/atom. As for the total magnetization: 0.93 μB per atom. For the formation energy, the calculation gives -1355 meV/atom.

---

Density functional theory data (PBE with a Hubbard U) for a relaxed MgFe4NiO8 crystal.

Geometry as POSCAR:
```
MgFe4NiO8
1.0
3.019 5.181 0.000
-3.019 5.181 0.000
0.000 3.396 4.918
O Fe Ni Mg
8 4 1 1
Direct
0.253 0.253 0.260
0.750 0.271 0.740
0.729 0.250 0.260
0.747 0.747 0.740
0.271 0.750 0.740
0.749 0.749 0.268
0.251 0.251 0.732
0.250 0.729 0.260
0.000 0.500 0.500
0.883 0.883 0.868
0.117 0.117 0.132
0.500 0.000 0.500
0.500 0.500 0.500
0.500 0.500 0.000
```

## Properties
For the calculated density, the calculation gives 4.7 Mg/m³. The energy above the most stable polymorph in this dataset is 9 meV/atom. As for the total magnetization: 1.57 μB per atom. For the formation energy, the calculation gives -1790 meV/atom.

---

Density functional theory data (PBE with a Hubbard U) for a relaxed Mg14FeNiO16 crystal.

Geometry as POSCAR:
```
Mg14FeNiO16
1.0
8.528 0.000 0.000
0.000 8.528 0.000
0.000 0.000 4.262
O Mg Ni Fe
16 14 1 1
Direct
0.750 0.750 0.500
0.500 0.249 0.000
0.250 0.250 0.500
0.000 0.254 0.000
0.249 0.500 0.000
0.000 0.746 0.000
0.751 0.500 0.000
0.250 0.750 0.500
0.500 0.000 0.500
0.000 0.500 0.500
0.500 0.751 0.000
0.750 0.250 0.500
0.746 0.000 0.000
0.000 0.000 0.500
0.500 0.500 0.500
0.254 0.000 0.000
0.750 0.000 0.500
0.251 0.251 0.000
0.000 0.750 0.500
0.251 0.749 0.000
0.749 0.500 0.500
0.749 0.251 0.000
0.500 0.251 0.500
0.000 0.250 0.500
0.250 0.000 0.500
0.749 0.749 0.000
0.500 0.749 0.500
0.000 0.500 0.000
0.500 0.000 0.000
0.251 0.500 0.500
0.500 0.500 0.000
0.000 0.000 0.000
```

## Properties
For the calculated density, the calculation gives 3.8 Mg/m³. The energy above the most stable polymorph in this dataset is 27 meV/atom. As for the total magnetization: 0.19 μB per atom. For the formation energy, the calculation gives -2801 meV/atom.